! NaCa2SiO4F (PBE-GGA, relaxed); values from VASP
! ΔE_f, eV per atom: -3.161
! Polymorph energy (0 for the lowest one), kcal/mol of atoms: 0.00
! Calculated volume, Å³/f.u.: 132.4
! DFT total energy, eV per cell: -230.8
&SYSTEM
  ibrav = 0, nat = 36, ntyp = 5
/
ATOMIC_SPECIES
Na 22.99 Na.upf
Si 28.09 Si.upf
O 16.00 O.upf
Ca 40.08 Ca.upf
F 19.00 F.upf
CELL_PARAMETERS angstrom
7.786 0.381 0.064
0.327 9.321 -0.556
0.058 -0.561 7.342
ATOMIC_POSITIONS crystal
Na 0.959 0.938 0.031
Si 0.138 0.356 0.762
O 0.695 0.223 0.628
Ca 0.277 0.814 0.748
Si 0.786 0.239 0.831
O 0.767 0.109 0.955
O 0.251 0.381 0.949
O 0.383 0.026 0.813
O 0.268 0.301 0.588
Si 0.271 0.805 0.264
Na 0.181 0.461 0.404
O 0.714 0.395 0.953
Ca 0.441 0.083 0.533
Ca 0.502 0.434 0.681
Na 0.446 0.529 0.092
Ca 0.261 0.159 0.068
O 0.495 0.116 0.234
O 0.185 0.651 0.239
Na 0.974 0.018 0.567
Ca 0.972 0.535 0.086
Ca 0.695 0.271 0.239
F 0.721 0.884 0.453
F 0.487 0.437 0.368
Ca 0.567 0.938 0.002
O 0.783 0.603 0.367
O 0.796 0.769 0.100
O 0.236 0.904 0.462
O 0.491 0.760 0.249
O 0.027 0.511 0.746
F 0.002 0.309 0.227
O 0.233 0.896 0.091
F 0.976 0.839 0.742
O 0.001 0.231 0.788
Ca 0.801 0.662 0.684
O 0.522 0.670 0.769
Si 0.697 0.743 0.286



! XeF3 (PBE-GGA, relaxed); values from VASP
! ΔE_f, eV per atom: -0.835
! Calculated volume, Å³/f.u.: 84.1
! DFT total energy, eV per cell: -30.9
&SYSTEM
  ibrav = 0, nat = 16, ntyp = 2
/
ATOMIC_SPECIES
Xe 131.29 Xe.upf
F 19.00 F.upf
CELL_PARAMETERS angstrom
7.466 0.000 0.000
0.000 6.578 0.000
0.000 0.321 6.848
ATOMIC_POSITIONS crystal
Xe 0.000 0.500 0.500
F 0.888 0.483 0.230
Xe 0.500 0.500 0.000
F 0.612 0.983 0.230
F 0.112 0.517 0.770
Xe 0.000 0.000 0.000
F 0.080 0.203 0.494
F 0.420 0.703 0.494
F 0.920 0.797 0.506
F 0.190 0.845 0.171
F 0.690 0.655 0.829
Xe 0.500 0.000 0.500
F 0.310 0.345 0.171
F 0.580 0.297 0.506
F 0.388 0.017 0.770
F 0.810 0.155 0.829



! Mg2B24C (PBE-GGA, relaxed); values from VASP
! Piezoelectric modulus e_max, C/m2: 0.7
! ΔE_f, eV per atom: -0.131
! Calculated volume, Å³/f.u.: 204.6
! DFT total energy, eV per cell: -352.6
&SYSTEM
  ibrav = 0, nat = 54, ntyp = 3
/
ATOMIC_SPECIES
B 10.81 B.upf
Mg 24.30 Mg.upf
C 12.01 C.upf
CELL_PARAMETERS angstrom
8.966 0.000 0.000
0.000 8.966 0.000
0.000 0.000 5.089
ATOMIC_POSITIONS crystal
B 0.748 0.235 0.415
B 0.765 0.748 0.585
B 0.235 0.252 0.585
B 0.578 0.259 0.585
B 0.078 0.241 0.085
B 0.098 0.694 0.583
B 0.420 0.825 0.901
B 0.593 0.731 0.412
B 0.616 0.372 0.876
B 0.741 0.578 0.415
B 0.269 0.593 0.588
B 0.407 0.269 0.412
B 0.194 0.598 0.917
B 0.731 0.407 0.588
Mg 0.000 0.000 0.000
B 0.372 0.384 0.124
B 0.093 0.769 0.912
B 0.248 0.265 0.915
B 0.872 0.116 0.624
C 0.000 0.000 0.500
B 0.306 0.098 0.417
Mg 0.500 0.000 0.250
B 0.628 0.616 0.124
B 0.825 0.580 0.099
B 0.759 0.078 0.915
B 0.402 0.194 0.083
Mg 0.500 0.500 0.500
B 0.735 0.248 0.085
B 0.252 0.765 0.415
B 0.752 0.735 0.915
B 0.580 0.175 0.901
B 0.694 0.902 0.417
B 0.080 0.325 0.401
B 0.902 0.306 0.583
B 0.175 0.420 0.099
B 0.907 0.231 0.912
B 0.675 0.080 0.599
B 0.884 0.872 0.376
B 0.422 0.741 0.585
B 0.922 0.759 0.085
B 0.806 0.402 0.917
B 0.325 0.920 0.599
Mg 0.000 0.500 0.750
C 0.500 0.500 0.000
B 0.128 0.884 0.624
B 0.265 0.752 0.085
B 0.769 0.907 0.088
B 0.598 0.806 0.083
B 0.241 0.922 0.915
B 0.231 0.093 0.088
B 0.116 0.128 0.376
B 0.384 0.628 0.876
B 0.259 0.422 0.415
B 0.920 0.675 0.401



! Na2HgS2O7 (PBE-GGA, relaxed); values from VASP
! ΔE_f, eV per atom: -1.494
! Calculated volume, Å³/f.u.: 193.0
! DFT total energy, eV per cell: -235.9
&SYSTEM
  ibrav = 0, nat = 48, ntyp = 4
/
ATOMIC_SPECIES
S 32.06 S.upf
O 16.00 O.upf
Na 22.99 Na.upf
Hg 200.59 Hg.upf
CELL_PARAMETERS angstrom
9.876 0.000 0.000
0.000 8.715 0.000
0.000 3.647 8.971
ATOMIC_POSITIONS crystal
S 0.696 0.508 0.499
S 0.428 0.052 0.298
O 0.655 0.522 0.983
O 0.845 0.522 0.483
O 0.140 0.600 0.077
O 0.155 0.478 0.517
O 0.345 0.478 0.017
O 0.528 0.187 0.256
Na 0.761 0.185 0.369
Na 0.261 0.815 0.131
O 0.505 0.770 0.156
S 0.572 0.948 0.702
O 0.146 0.030 0.938
O 0.334 0.057 0.177
Hg 0.080 0.213 0.131
O 0.344 0.558 0.339
O 0.640 0.400 0.423
O 0.656 0.442 0.661
O 0.646 0.970 0.562
Hg 0.420 0.213 0.631
O 0.495 0.230 0.844
O 0.972 0.187 0.756
S 0.072 0.052 0.798
Na 0.739 0.185 0.869
Na 0.488 0.513 0.810
S 0.928 0.948 0.202
O 0.995 0.770 0.656
O 0.860 0.400 0.923
Na 0.512 0.487 0.190
S 0.196 0.492 0.001
Na 0.012 0.513 0.310
Hg 0.580 0.787 0.369
O 0.844 0.442 0.161
Na 0.239 0.815 0.631
O 0.028 0.813 0.244
O 0.854 0.970 0.062
O 0.005 0.230 0.344
S 0.304 0.492 0.501
O 0.666 0.943 0.823
Na 0.988 0.487 0.690
O 0.354 0.030 0.438
Hg 0.920 0.787 0.869
O 0.472 0.813 0.744
O 0.834 0.943 0.323
S 0.804 0.508 0.999
O 0.156 0.558 0.839
O 0.166 0.057 0.677
O 0.360 0.600 0.577



! YGeRh2 (PBE-GGA, relaxed); values from VASP
! ΔE_f, eV per atom: -0.861
! Calculated volume, Å³/f.u.: 70.9
! DFT total energy, eV per cell: -175.6
&SYSTEM
  ibrav = 0, nat = 24, ntyp = 3
/
ATOMIC_SPECIES
Ge 72.64 Ge.upf
Y 88.91 Y.upf
Rh 102.91 Rh.upf
CELL_PARAMETERS angstrom
3.924 3.993 0.282
-5.425 1.374 0.317
0.503 -1.592 15.540
ATOMIC_POSITIONS crystal
Ge 0.333 0.667 0.250
Y 0.667 0.333 0.250
Y 0.667 0.333 0.038
Rh 0.168 0.832 0.128
Rh 0.832 0.168 0.628
Rh 0.664 0.832 0.128
Y 0.333 0.667 0.750
Y 0.667 0.333 0.462
Ge 0.000 0.000 0.750
Rh 0.336 0.168 0.628
Rh 0.832 0.664 0.872
Ge 0.667 0.333 0.750
Y 0.333 0.667 0.538
Ge 0.000 0.000 0.250
Ge 0.000 0.000 0.000
Rh 0.168 0.832 0.372
Ge 0.000 0.000 0.500
Rh 0.168 0.336 0.372
Y 0.333 0.667 0.962
Rh 0.664 0.832 0.372
Rh 0.336 0.168 0.872
Rh 0.168 0.336 0.128
Rh 0.832 0.664 0.628
Rh 0.832 0.168 0.872



! PrAlPd (PBE-GGA, relaxed); values from VASP
! ΔE_f, eV per atom: -0.786
! Calculated volume, Å³/f.u.: 65.1
! DFT total energy, eV per cell: -48.2
&SYSTEM
  ibrav = 0, nat = 9, ntyp = 3
/
ATOMIC_SPECIES
Pd 106.42 Pd.upf
Pr 140.91 Pr.upf
Al 26.98 Al.upf
CELL_PARAMETERS angstrom
-2.007 2.869 -6.391
-5.060 -1.949 4.869
0.140 3.890 1.702
ATOMIC_POSITIONS crystal
Pd 0.333 0.667 0.000
Pr 0.000 0.579 0.500
Al 0.000 0.228 0.000
Pr 0.579 0.000 0.500
Al 0.772 0.772 0.000
Al 0.228 0.000 0.000
Pd 0.000 0.000 0.500
Pr 0.421 0.421 0.500
Pd 0.667 0.333 0.000



! MgTiZnBi2O6 (PBE-GGA, relaxed); values from VASP
! ΔE_f, eV per atom: -2.147
! Polymorph energy (0 for the lowest one), kcal/mol of atoms: 0.00
! Calculated volume, Å³/f.u.: 159.1
! DFT total energy, eV per cell: -67.7
&SYSTEM
  ibrav = 0, nat = 11, ntyp = 5
/
ATOMIC_SPECIES
O 16.00 O.upf
Bi 208.98 Bi.upf
Ti 47.87 Ti.upf
Mg 24.30 Mg.upf
Zn 65.41 Zn.upf
CELL_PARAMETERS angstrom
-2.680 -2.702 0.326
-2.725 2.746 0.315
1.351 0.010 -10.965
ATOMIC_POSITIONS crystal
O 0.458 0.973 0.814
O 0.413 0.325 0.535
O 0.701 0.197 0.267
O 0.961 0.472 0.814
Bi 0.012 0.023 0.925
Ti 0.674 0.673 0.213
Mg 0.238 0.233 0.343
Zn 0.423 0.438 0.741
O 0.199 0.696 0.266
O 0.598 0.602 0.052
Bi 0.772 0.832 0.549



! LiCuS (PBE-GGA, relaxed); values from VASP
! ΔE_f, eV per atom: -0.885
! Calculated volume, Å³/f.u.: 52.8
! DFT total energy, eV per cell: -49.2
&SYSTEM
  ibrav = 0, nat = 12, ntyp = 3
/
ATOMIC_SPECIES
Li 6.94 Li.upf
Cu 63.55 Cu.upf
S 32.06 S.upf
CELL_PARAMETERS angstrom
4.929 0.000 0.000
0.000 5.150 0.000
0.000 0.000 8.323
ATOMIC_POSITIONS crystal
Li 0.250 0.486 0.139
Cu 0.500 0.500 0.500
S 0.750 0.218 0.628
S 0.750 0.282 0.128
Li 0.750 0.514 0.861
Cu 0.000 0.000 0.000
S 0.250 0.718 0.872
Cu 0.000 0.500 0.500
S 0.250 0.782 0.372
Li 0.750 0.986 0.361
Cu 0.500 0.000 0.000
Li 0.250 0.014 0.639



The highest DFT total energy belongs to which entry?
XeF3



Among the records above, which one has the lowest ΔE_f?
NaCa2SiO4F



Please write out number 2 again, unchanged.
! XeF3 (PBE-GGA, relaxed); values from VASP
! ΔE_f, eV per atom: -0.835
! Calculated volume, Å³/f.u.: 84.1
! DFT total energy, eV per cell: -30.9
&SYSTEM
  ibrav = 0, nat = 16, ntyp = 2
/
ATOMIC_SPECIES
Xe 131.29 Xe.upf
F 19.00 F.upf
CELL_PARAMETERS angstrom
7.466 0.000 0.000
0.000 6.578 0.000
0.000 0.321 6.848
ATOMIC_POSITIONS crystal
Xe 0.000 0.500 0.500
F 0.888 0.483 0.230
Xe 0.500 0.500 0.000
F 0.612 0.983 0.230
F 0.112 0.517 0.770
Xe 0.000 0.000 0.000
F 0.080 0.203 0.494
F 0.420 0.703 0.494
F 0.920 0.797 0.506
F 0.190 0.845 0.171
F 0.690 0.655 0.829
Xe 0.500 0.000 0.500
F 0.310 0.345 0.171
F 0.580 0.297 0.506
F 0.388 0.017 0.770
F 0.810 0.155 0.829